# GGA-PBE Na3C2O8, relaxed
data_Na3C2O8
_chemical_formula_sum 'Na12 C8 O32'
_cell_length_a 21.233
_cell_length_b 3.524
_cell_length_c 9.830
_cell_angle_alpha 90.00
_cell_angle_beta 114.64
_cell_angle_gamma 90.00
_symmetry_space_group_name_H-M 'C 1 2/c 1'
_symmetry_Int_Tables_number 15
_symmetry_space_group_name_Hall '-C 2yc'
loop_
_atom_site_label
_atom_site_type_symbol
_atom_site_fract_x
_atom_site_fract_y
_atom_site_fract_z
Na1 Na 0.000 0.190 0.250
Na2 Na 0.173 0.078 0.859
C1 C 0.101 0.300 0.057
O1 O 0.076 0.307 0.918
O2 O 0.080 0.175 0.148
O3 O 0.171 0.456 0.140
O4 O 0.205 0.439 0.552
# * volume: 12.9 Å³/atom
# * total DFT energy (no corrections): -5.986 eV/atom
# * calculated density: 2.195 g cm⁻³
# * E_form: -1.316 eV per atom